# Li3AlH6

A geometry-optimized Li3AlH6 structure (GGA-PBE, Materials Project).

Structure (CIF):
```
data_Li3AlH6
_cell_length_a 8.0163
_cell_length_b 8.0163
_cell_length_c 9.4621
_cell_angle_alpha 90.00
_cell_angle_beta 90.00
_cell_angle_gamma 120.00
_space_group_name_H-M_alt 'R -3'
_space_group_IT_number 148
_space_group_name_Hall '-R 3'
loop_
_atom_site_label
_atom_site_fract_x
_atom_site_fract_y
_atom_site_fract_z
Li1 0.0435 0.7747 0.2078
Al1 0.0000 0.0000 0.0000
Al2 0.0000 0.0000 0.5000
H1 0.0230 0.8397 0.8880
H2 0.0261 0.8308 0.4003
```


# MgSi2

A geometry-optimized MgSi2 structure (GGA-PBE, Materials Project).

Calculated values
Relative energy among the computed polymorphs = 160 meV per atom

Structure (CIF):
```
data_MgSi2
_cell_length_a 10.020
_cell_length_b 3.181
_cell_length_c 3.430
_cell_angle_alpha 90.00
_cell_angle_beta 108.33
_cell_angle_gamma 90.00
_space_group_name_H-M_alt 'C 1 2/m 1'
_space_group_IT_number 12
loop_
_space_group_symop_operation_xyz
'x,y,z'
'-x,-y,-z'
'-x,y,-z'
'x,-y,z'
'x+1/2,y+1/2,z'
'-x+1/2,-y+1/2,-z'
'-x+1/2,y+1/2,-z'
'x+1/2,-y+1/2,z'
loop_
_atom_site_label
_atom_site_fract_x
_atom_site_fract_y
_atom_site_fract_z
Mg1 0.000 0.000 0.000
Si1 0.197 0.500 0.702
```


# Mn3Co4Ge6

A geometry-optimized Mn3Co4Ge6 structure (GGA-PBE, Materials Project).

Structure (CIF):
```
data_Mn3Co4Ge6
_cell_length_a 5.092
_cell_length_b 8.736
_cell_length_c 7.854
_cell_angle_alpha 90.00
_cell_angle_beta 90.00
_cell_angle_gamma 90.00
_space_group_name_H-M_alt 'C m m 2'
_space_group_IT_number 35
loop_
_space_group_symop_operation_xyz
'x,y,z'
'-x,-y,z'
'-x,y,z'
'x,-y,z'
'x+1/2,y+1/2,z'
'-x+1/2,-y+1/2,z'
'-x+1/2,y+1/2,z'
'x+1/2,-y+1/2,z'
loop_
_atom_site_label
_atom_site_fract_x
_atom_site_fract_y
_atom_site_fract_z
Mn1 0.000 0.000 0.000
Mn2 0.250 0.250 0.752
Co1 0.000 0.500 0.252
Co2 0.000 0.500 0.752
Co3 0.250 0.250 0.251
Ge1 0.000 0.000 0.332
Ge2 0.000 0.000 0.668
Ge3 0.000 0.335 0.009
Ge4 0.000 0.335 0.494
```


For the records above, the corresponding V values read 526.6, 103.8, 349.4 Å³ per cell.
For the records above, the corresponding ΔE_f values read -376, 238, -148 meV per atom.